Entry from the Materials Project database: a relaxed structure of H3Pd4 (r²SCAN).

Cell and atoms, written as POSCAR:
```
H3Pd4
1.0
1.4466 0.8352 9.3394
-1.4466 0.8352 9.3394
0.0000 -1.6704 9.3394
H Pd
3 4
direct
0.0000 0.0000 0.0000
0.2376 0.2376 0.2376
0.7624 0.7624 0.7624
0.1255 0.1255 0.1255
0.3747 0.3747 0.3747
0.6253 0.6253 0.6253
0.8745 0.8745 0.8745
```

* V: 68 Å³/cell
* formation energy: -0.0635 eV/atom
* theoretical density: 10.5 g/cm³



Entry from the Materials Project database: a relaxed structure of Tm4CdIr (r²SCAN).

Cell and atoms, written as POSCAR:
```
Tm4CdIr
1.0
0.0000 6.6844 6.6844
6.6844 0.0000 6.6844
6.6844 6.6844 0.0000
Tm Cd Ir
16 4 4
direct
0.1882 0.1882 0.8118
0.1882 0.8118 0.1882
0.1882 0.8118 0.8118
0.4011 0.4011 0.4011
0.4011 0.4011 0.7968
0.4011 0.7968 0.4011
0.5596 0.5596 0.9404
0.5596 0.9404 0.5596
0.5596 0.9404 0.9404
0.7968 0.4011 0.4011
0.8118 0.1882 0.1882
0.8118 0.1882 0.8118
0.8118 0.8118 0.1882
0.9404 0.5596 0.5596
0.9404 0.5596 0.9404
0.9404 0.9404 0.5596
0.1693 0.1693 0.1693
0.1693 0.1693 0.4922
0.1693 0.4922 0.1693
0.4922 0.1693 0.1693
0.1738 0.6087 0.6087
0.6087 0.1738 0.6087
0.6087 0.6087 0.1738
0.6087 0.6087 0.6087
```

* V: 597 Å³/cell
* formation energy: -0.6144 eV/atom
* theoretical density: 10.9 g/cm³



Entry from the Materials Project database: a relaxed structure of ErMg3 (r²SCAN).

Cell and atoms, written as POSCAR:
```
ErMg3
1.0
0.0000 3.6255 3.6255
3.6255 0.0000 3.6255
3.6255 3.6255 0.0000
Er Mg
1 3
direct
0.0000 0.0000 0.0000
0.2500 0.2500 0.2500
0.5000 0.5000 0.5000
0.7500 0.7500 0.7500
```

* V: 95 Å³/cell
* formation energy: -0.0532 eV/atom
* theoretical density: 4.2 g/cm³



Entry from the Materials Project database: a relaxed structure of MgH2 (r²SCAN).

Cell and atoms, written as POSCAR:
```
MgH2
1.0
4.4767 0.0000 0.0000
0.0000 4.4767 0.0000
0.0000 0.0000 2.9925
Mg H
2 4
direct
0.0000 0.0000 0.0000
0.5000 0.5000 0.5000
0.1956 0.1956 0.5000
0.3044 0.6956 0.0000
0.6956 0.3044 0.0000
0.8044 0.8044 0.5000
```

* V: 60 Å³/cell
* formation energy: -0.2631 eV/atom
* theoretical density: 1.5 g/cm³



Entry from the Materials Project database: a relaxed structure of ZrAs (r²SCAN).

Cell and atoms, written as POSCAR:
```
ZrAs
1.0
0.0000 2.7296 2.7296
2.7296 0.0000 2.7296
2.7296 2.7296 0.0000
Zr As
1 1
direct
0.0000 0.0000 0.0000
0.5000 0.5000 0.5000
```

* V: 41 Å³/cell
* formation energy: -1.2739 eV/atom
* theoretical density: 6.8 g/cm³



Entry from the Materials Project database: a relaxed structure of Ca4CrN4 (r²SCAN).

Cell and atoms, written as POSCAR:
```
Ca4CrN4
1.0
11.0993 0.0000 0.0000
0.0000 4.9164 0.0000
0.0000 0.0000 10.9441
Ca Cr N
16 4 16
direct
0.0584 0.2500 0.1122
0.0921 0.7500 0.3155
0.1289 0.7500 0.6591
0.2274 0.2500 0.4764
0.2726 0.7500 0.9764
0.3711 0.2500 0.1591
0.4079 0.2500 0.8155
0.4416 0.7500 0.6122
0.5584 0.2500 0.3878
0.5921 0.7500 0.1845
0.6289 0.7500 0.8409
0.7274 0.2500 0.0236
0.7726 0.7500 0.5236
0.8711 0.2500 0.3409
0.9079 0.2500 0.6845
0.9416 0.7500 0.8878
0.1316 0.2500 0.8518
0.3684 0.7500 0.3518
0.6316 0.2500 0.6482
0.8684 0.7500 0.1482
0.0149 0.7500 0.1056
0.0764 0.2500 0.3299
0.1658 0.2500 0.6988
0.2374 0.2500 0.9703
0.2626 0.7500 0.4703
0.3342 0.7500 0.1988
0.4236 0.7500 0.8299
0.4851 0.2500 0.6056
0.5149 0.7500 0.3944
0.5764 0.2500 0.1701
0.6658 0.2500 0.8012
0.7374 0.2500 0.5297
0.7626 0.7500 0.0297
0.8342 0.7500 0.3012
0.9236 0.7500 0.6701
0.9851 0.2500 0.8944
```

* V: 597 Å³/cell
* formation energy: -1.0563 eV/atom
* theoretical density: 3.0 g/cm³



Entry from the Materials Project database: a relaxed structure of PrNdMg2 (r²SCAN).

Cell and atoms, written as POSCAR:
```
PrNdMg2
1.0
0.0000 3.9078 3.9078
3.9078 0.0000 3.9078
3.9078 3.9078 0.0000
Pr Nd Mg
1 1 2
direct
0.0000 0.0000 0.0000
0.5000 0.5000 0.5000
0.2500 0.2500 0.2500
0.7500 0.7500 0.7500
```

* V: 119 Å³/cell
* formation energy: -0.1118 eV/atom
* theoretical density: 4.6 g/cm³



Entry from the Materials Project database: a relaxed structure of Y5Re2O12 (r²SCAN).

Cell and atoms, written as POSCAR:
```
Y5Re2O12
1.0
6.2031 -2.8165 0.0000
6.2031 2.8165 0.0000
-2.3121 0.0000 7.1426
Y Re O
5 2 12
direct
0.0000 0.0000 0.0000
0.3037 0.3037 0.1413
0.3146 0.3146 0.6752
0.6854 0.6854 0.3248
0.6963 0.6963 0.8587
0.2135 0.7865 0.5000
0.7865 0.2135 0.5000
0.0009 0.0009 0.2933
0.0881 0.5824 0.4162
0.0980 0.5941 0.9261
0.4059 0.9020 0.0739
0.4176 0.9119 0.5838
0.4988 0.4988 0.3228
0.5012 0.5012 0.6772
0.5824 0.0881 0.4162
0.5941 0.0980 0.9261
0.9020 0.4059 0.0739
0.9119 0.4176 0.5838
0.9991 0.9991 0.7067
```

* V: 250 Å³/cell
* formation energy: -3.1777 eV/atom
* theoretical density: 6.7 g/cm³



Entry from the Materials Project database: a relaxed structure of AlV6Ge (r²SCAN).

Cell and atoms, written as POSCAR:
```
AlV6Ge
1.0
4.7626 0.0000 0.0000
0.0000 4.7626 0.0000
0.0000 0.0000 4.7626
Al V Ge
1 6 1
direct
0.0000 0.0000 0.0000
0.0000 0.2501 0.5000
0.0000 0.7499 0.5000
0.2501 0.5000 0.0000
0.5000 0.0000 0.2501
0.5000 0.0000 0.7499
0.7499 0.5000 0.0000
0.5000 0.5000 0.5000
```

* V: 108 Å³/cell
* formation energy: -0.2733 eV/atom
* theoretical density: 6.2 g/cm³



Entry from the Materials Project database: a relaxed structure of LiAs3H2O9 (r²SCAN).

Cell and atoms, written as POSCAR:
```
LiAs3H2O9
1.0
9.6924 0.0000 0.0000
0.0000 8.6160 0.0000
-5.0426 0.0000 8.7750
Li As H O
4 12 8 36
direct
0.1208 0.1065 0.0039
0.1208 0.3935 0.5039
0.8792 0.6065 0.4961
0.8792 0.8935 0.9961
0.0953 0.7403 0.3602
0.0953 0.7597 0.8602
0.4189 0.6216 0.4063
0.4189 0.8784 0.9063
0.4303 0.1803 0.7517
0.4303 0.3197 0.2517
0.5697 0.6803 0.7483
0.5697 0.8197 0.2483
0.5811 0.1216 0.0937
0.5811 0.3784 0.5937
0.9047 0.2403 0.1398
0.9047 0.2597 0.6398
0.1666 0.2377 0.7878
0.1666 0.2623 0.2878
0.2444 0.5788 0.0367
0.2444 0.9212 0.5367
0.7556 0.0788 0.4633
0.7556 0.4212 0.9633
0.8334 0.7377 0.7122
0.8334 0.7623 0.2122
0.0702 0.6152 0.4693
0.0702 0.8848 0.9693
0.0769 0.2203 0.8087
0.0769 0.2797 0.3087
0.1525 0.5757 0.9330
0.1525 0.9243 0.4330
0.2118 0.6721 0.2874
0.2118 0.8279 0.7874
0.2622 0.2238 0.1909
0.2622 0.2762 0.6909
0.3749 0.0614 0.9695
0.3749 0.4386 0.4695
0.4065 0.5207 0.2375
0.4065 0.9793 0.7375
0.4207 0.7268 0.5666
0.4207 0.7732 0.0666
0.4814 0.6999 0.8579
0.4814 0.8001 0.3579
0.5186 0.1999 0.6421
0.5186 0.3001 0.1421
0.5793 0.2268 0.9334
0.5793 0.2732 0.4334
0.5935 0.0207 0.2625
0.5935 0.4793 0.7625
0.6251 0.5614 0.5305
0.6251 0.9386 0.0305
0.7378 0.7238 0.3091
0.7378 0.7762 0.8091
0.7882 0.1721 0.2126
0.7882 0.3279 0.7126
0.8475 0.0757 0.5670
0.8475 0.4243 0.0670
0.9231 0.7203 0.6913
0.9231 0.7797 0.1913
0.9298 0.1152 0.0307
0.9298 0.3848 0.5307
```

* V: 733 Å³/cell
* formation energy: -1.3658 eV/atom
* theoretical density: 3.4 g/cm³



Entry from the Materials Project database: a relaxed structure of NiF2 (r²SCAN).

Cell and atoms, written as POSCAR:
```
NiF2
1.0
4.5849 0.0000 0.0000
0.0000 4.6763 0.0000
0.0000 0.0000 3.0795
Ni F
2 4
direct
0.0000 0.0000 0.0000
0.5000 0.5000 0.5000
0.2121 0.1808 0.5000
0.2879 0.6808 0.0000
0.7121 0.3192 0.0000
0.7879 0.8192 0.5000
```

* V: 66 Å³/cell
* formation energy: -2.2299 eV/atom
* theoretical density: 4.9 g/cm³



Entry from the Materials Project database: a relaxed structure of Ca2ScVO6 (r²SCAN).

Cell and atoms, written as POSCAR:
```
Ca2ScVO6
1.0
0.0000 3.8942 3.8942
3.8942 0.0000 3.8942
3.8942 3.8942 0.0000
Ca Sc V O
2 1 1 6
direct
0.2500 0.2500 0.2500
0.7500 0.7500 0.7500
0.0000 0.0000 0.0000
0.5000 0.5000 0.5000
0.2615 0.2615 0.7385
0.2615 0.7385 0.2615
0.2615 0.7385 0.7385
0.7385 0.2615 0.2615
0.7385 0.2615 0.7385
0.7385 0.7385 0.2615
```

* V: 118 Å³/cell
* formation energy: -3.1480 eV/atom
* theoretical density: 3.8 g/cm³



Entry from the Materials Project database: a relaxed structure of Fe2B (r²SCAN).

Cell and atoms, written as POSCAR:
```
Fe2B
1.0
-2.5457 2.5457 2.1151
2.5457 -2.5457 2.1151
2.5457 2.5457 -2.1151
Fe B
4 2
direct
0.1676 0.6676 0.8351
0.3324 0.1676 0.5000
0.6676 0.8324 0.5000
0.8324 0.3324 0.1649
0.2500 0.2500 0.0000
0.7500 0.7500 0.0000
```

* V: 55 Å³/cell
* formation energy: -0.2388 eV/atom
* theoretical density: 7.4 g/cm³



Entry from the Materials Project database: a relaxed structure of MoCl6 (r²SCAN).

Cell and atoms, written as POSCAR:
```
MoCl6
1.0
10.6496 0.0000 0.0000
-5.3248 9.2228 0.0000
0.0000 0.0000 5.6812
Mo Cl
3 18
direct
0.0000 0.0000 0.0000
0.3333 0.6667 0.4952
0.6667 0.3333 0.5048
0.1016 0.2032 0.2333
0.1016 0.8984 0.2333
0.1304 0.5652 0.2614
0.2032 0.1016 0.7667
0.2317 0.4635 0.7284
0.2317 0.7683 0.7284
0.4348 0.5652 0.2614
0.4348 0.8696 0.2614
0.4635 0.2317 0.2716
0.5365 0.7683 0.7284
0.5652 0.1304 0.7386
0.5652 0.4348 0.7386
0.7683 0.2317 0.2716
0.7683 0.5365 0.2716
0.7968 0.8984 0.2333
0.8696 0.4348 0.7386
0.8984 0.1016 0.7667
0.8984 0.7968 0.7667
```

* V: 558 Å³/cell
* formation energy: -0.8426 eV/atom
* theoretical density: 2.8 g/cm³



Entry from the Materials Project database: a relaxed structure of Si (r²SCAN).

Cell and atoms, written as POSCAR:
```
Si
1.0
-6.2142 6.2142 6.2142
6.2142 -6.2142 6.2142
6.2142 6.2142 -6.2142
Si
41
direct
0.0000 0.0000 0.0000
0.0000 0.0000 0.2174
0.0000 0.2174 0.0000
0.0000 0.2236 0.3593
0.0000 0.3593 0.2236
0.1326 0.3918 0.7866
0.1326 0.7866 0.3918
0.1358 0.7764 0.7764
0.2134 0.3460 0.6052
0.2134 0.6052 0.3460
0.2174 0.0000 0.0000
0.2236 0.0000 0.3593
0.2236 0.3593 0.0000
0.2591 0.6540 0.8674
0.2591 0.8674 0.6540
0.3460 0.2134 0.6052
0.3460 0.6052 0.2134
0.3593 0.0000 0.2236
0.3593 0.2236 0.0000
0.3918 0.1326 0.7866
0.3918 0.7866 0.1326
0.3948 0.6082 0.7409
0.3948 0.7409 0.6082
0.6052 0.2134 0.3460
0.6052 0.3460 0.2134
0.6082 0.3948 0.7409
0.6082 0.7409 0.3948
0.6407 0.6407 0.8642
0.6407 0.8642 0.6407
0.6540 0.2591 0.8674
0.6540 0.8674 0.2591
0.7409 0.3948 0.6082
0.7409 0.6082 0.3948
0.7764 0.1358 0.7764
0.7764 0.7764 0.1358
0.7826 0.7826 0.7826
0.7866 0.1326 0.3918
0.7866 0.3918 0.1326
0.8642 0.6407 0.6407
0.8674 0.2591 0.6540
0.8674 0.6540 0.2591
```

* V: 960 Å³/cell
* formation energy: 0.1433 eV/atom
* theoretical density: 2.0 g/cm³
* energy relative to the lowest polymorph listed for this composition: 143 meV/atom



Entry from the Materials Project database: a relaxed structure of TlIn3S5 (r²SCAN).

Cell and atoms, written as POSCAR:
```
TlIn3S5
1.0
10.2678 -1.9306 0.0000
10.2678 1.9306 0.0000
-6.7376 0.0000 11.0266
Tl In S
2 6 10
direct
0.2378 0.2378 0.3005
0.7622 0.7622 0.6995
0.0000 0.0000 0.0000
0.0000 0.0000 0.5000
0.3372 0.3372 0.0984
0.4530 0.4530 0.6946
0.5470 0.5470 0.3054
0.6628 0.6628 0.9016
0.0724 0.0724 0.8890
0.1136 0.1136 0.4496
0.2391 0.2391 0.8708
0.4124 0.4124 0.8445
0.4361 0.4361 0.3436
0.5639 0.5639 0.6564
0.5876 0.5876 0.1555
0.7609 0.7609 0.1292
0.8864 0.8864 0.5504
0.9276 0.9276 0.1110
```

* V: 437 Å³/cell
* formation energy: -0.7239 eV/atom
* theoretical density: 5.4 g/cm³